<1>
Density functional theory data (PBE-GGA) for an optimized crystal structure of KH2OsBr4N.

Unit cell a=9.1290 b=15.9795 c=7.7186 alpha=90.00 beta=90.00 gamma=90.00
Last column: nearest neighbours and their distance in Å.
Space group Cmc2_1 (No. 36)
Inequivalent atoms, fractional coordinates:
1 K 0.0000 0.1906 0.0000 x4  1 H 2.62, 1 N 2.85
2 H 0.0000 0.1576 0.4867 x4  2 Br 1.71
3 H 0.0000 0.2820 0.2812 x4  1 Os 1.75
4 Os 0.0000 0.3198 0.4944 x4  1 N 1.70, 1 H 1.75
5 Br 0.1797 0.1868 0.4824 x8  1 H 1.71
6 Br 0.1886 0.4260 0.4384 x8  1 Os 2.45
7 N 0.0000 0.3020 0.7110 x4  1 Os 1.70

Calculated values
Crystal system   orthorhombic

=====

<2>
Density functional theory data (PBE-GGA) for an optimized crystal structure of KH2OsBr4N.

Unit cell a=9.1546 b=14.3784 c=7.7564 alpha=90.00 beta=90.00 gamma=90.00
Last column: nearest neighbours and their distance in Å.
Space group Cmc2_1 (No. 36)
Inequivalent atoms, fractional coordinates:
1 K 0.0000 0.1683 0.0000 x4  3 H 3.19-3.26, 1 N 3.31, 6 Br 3.43-3.46
2 H 0.0000 0.0411 0.3377 x4  2 K 3.19-3.26, 2 Br 3.48
3 H 0.0000 0.3569 0.7844 x4  1 Os 1.99
4 Os 0.0000 0.3350 0.5311 x4  1 N 1.67
5 Br 0.1873 0.2180 0.6231 x8  1 Os 2.51
6 Br 0.1881 0.4581 0.5803 x8  1 Os 2.50, 1 H 2.75
7 N 0.0000 0.3221 0.3169 x4  1 Os 1.67

Calculated values
Crystal system   orthorhombic

=====

Of them, <2> has the lowest stability.

=====

<1>
Density functional theory data (PBE-GGA) for an optimized crystal structure of Hg8Br3O4.

Unit cell a=7.7758 b=6.4886 c=41.4514 alpha=90.00 beta=94.34 gamma=90.00
Last column: nearest neighbours and their distance in Å.
Space group P2_1/c (No. 14)
Inequivalent atoms, fractional coordinates:
1 Hg 0.0313 0.1898 0.0104 x4  1 Br 2.56, 1 Hg 2.64
2 Hg 0.0679 0.5551 0.3288 x4  1 O 3.07, 3 Hg 3.15-3.37, 2 Br 3.17-3.42
3 Hg 0.1040 0.5698 0.1542 x4  1 Hg 2.75, 1 Br 2.83, 1 O 3.04
4 Hg 0.1141 0.7260 0.2421 x4  3 O 2.31-2.35
5 Hg 0.2098 0.1396 0.1141 x4  3 Hg 3.12-3.38
6 Hg 0.2551 0.1936 0.6999 x4  2 O 2.41-2.45
7 Hg 0.3691 0.1675 0.7862 x4  2 O 2.12-2.13
8 Hg 0.3965 0.7120 0.3906 x4  1 O 2.51
9 Br 0.1342 0.5099 0.0426 x4  1 Hg 2.56
10 Br 0.1720 0.2405 0.3854 x4  1 O 1.78
11 Br 0.3814 0.6522 0.7974 x4  2 Hg 2.83-3.08
12 O 0.1506 0.1211 0.7529 x4  3 Hg 2.13-2.31
13 O 0.2714 0.5594 0.7096 x4  1 O 1.42
14 O 0.2820 0.0491 0.4096 x4  1 Br 1.78
15 O 0.3813 0.6669 0.6895 x4  1 O 1.42

Calculated values
Crystal system   monoclinic

=====

<2>
Density functional theory data (PBE-GGA) for an optimized crystal structure of Hg8Br3O4.

Unit cell a=7.0268 b=6.4923 c=32.2388 alpha=90.00 beta=96.43 gamma=90.00
Last column: nearest neighbours and their distance in Å.
Space group P2_1/c (No. 14)
Inequivalent atoms, fractional coordinates:
1 Hg 0.0100 0.0884 0.2129 x4  2 O 2.15-2.24
2 Hg 0.1367 0.1310 0.9932 x4  1 O 2.20
3 Hg 0.1762 0.6766 0.8913 x4  1 O 2.27
4 Hg 0.1903 0.5674 0.1781 x4  2 O 2.09-2.12
5 Hg 0.2726 0.0757 0.1236 x4  1 O 2.27
6 Hg 0.4074 0.6693 0.9609 x4  1 O 2.21
7 Hg 0.4272 0.1320 0.7803 x4  2 O 2.08
8 Hg 0.4537 0.6298 0.5700 x4  1 O 2.19
9 Br 0.1592 0.1823 0.8709 x4  6 Hg 3.16-3.49, 1 O 3.48
10 Br 0.1746 0.5012 0.0561 x4  4 Hg 3.10-3.35, 1 O 3.43
11 Br 0.3985 0.6488 0.8116 x4  7 Hg 3.16-3.52
12 O 0.0777 0.2241 0.6580 x4  4 Hg 2.12-2.27
13 O 0.1508 0.1086 0.7502 x4  2 Hg 2.08-2.15
14 O 0.2912 0.6352 0.6922 x4  2 Hg 2.08-2.09
15 O 0.4078 0.2280 0.4802 x4  3 Hg 2.19-2.21

Calculated values
Crystal system   monoclinic

=====

<3>
Density functional theory data (PBE-GGA) for an optimized crystal structure of Hg8Br3O4.

Unit cell a=6.9363 b=6.5243 c=39.4931 alpha=90.00 beta=90.64 gamma=90.00
Last column: nearest neighbours and their distance in Å.
Space group P2_1/c (No. 14)
Inequivalent atoms, fractional coordinates:
1 Hg 0.0228 0.1895 0.3288 x4  2 O 2.18-2.39
2 Hg 0.1328 0.2449 0.1085 x4  1 O 2.20
3 Hg 0.1537 0.7332 0.7638 x4  2 O 2.18-2.27
4 Hg 0.2400 0.6418 0.8893 x4  2 O 2.39-2.41
5 Hg 0.3601 0.2329 0.2576 x4  3 O 2.22-2.29
6 Hg 0.4515 0.0764 0.8712 x4  2 O 2.03-2.08
7 Hg 0.4609 0.6924 0.9923 x4  1 Br 2.58, 1 Hg 2.64
8 Hg 0.4667 0.6122 0.8168 x4  2 O 2.54-2.83
9 Br 0.1157 0.0956 0.1890 x4  2 Hg 2.88-2.90
10 Br 0.1412 0.7420 0.1113 x4  1 Hg 2.66
11 Br 0.3060 0.0128 0.9651 x4  1 Hg 2.58
12 O 0.0782 0.0954 0.2769 x4  3 Hg 2.18-2.29
13 O 0.3292 0.1545 0.3567 x4  1 Hg 2.03
14 O 0.3631 0.5589 0.2416 x4  3 Hg 2.18-2.23
15 O 0.4456 0.2148 0.1166 x4  2 Hg 2.08-2.20

Calculated values
Crystal system   monoclinic

=====

<4>
Density functional theory data (PBE-GGA) for an optimized crystal structure of Hg8Br3O4.

Unit cell a=7.3265 b=6.4697 c=43.6064 alpha=90.00 beta=95.43 gamma=90.00
Last column: nearest neighbours and their distance in Å.
Space group P2_1/c (No. 14)
Inequivalent atoms, fractional coordinates:
1 Hg 0.0069 0.0752 0.1513 x4  3 Hg 2.85-3.16, 1 Br 3.10
2 Hg 0.0423 0.6899 0.0088 x4  1 Br 2.55, 1 Hg 2.63
3 Hg 0.1093 0.2309 0.7341 x4  3 O 2.29-2.34
4 Hg 0.1135 0.0139 0.3315 x4  3 Hg 2.84-3.09, 1 O 2.90
5 Hg 0.1977 0.7016 0.6938 x4  2 O 2.47
6 Hg 0.2592 0.5879 0.1160 x4  3 Hg 3.42-3.76, 2 O 3.59-3.60
7 Hg 0.3003 0.2295 0.8771 x4  1 O 2.29
8 Hg 0.3620 0.6252 0.7791 x4  2 O 2.11
9 Br 0.1796 0.0062 0.0370 x4  1 Hg 2.55
10 Br 0.1981 0.7316 0.4098 x4  1 O 1.79
11 Br 0.4104 0.1270 0.7803 x4  5 Hg 2.92-3.27
12 O 0.1365 0.5835 0.7457 x4  3 Hg 2.11-2.34
13 O 0.2561 0.0784 0.6948 x4  1 O 1.40
14 O 0.3453 0.5108 0.4156 x4  1 Br 1.79
15 O 0.4183 0.1692 0.6865 x4  1 O 1.40

Calculated values
Crystal system   monoclinic

=====

Of them, <1> has the lowest stability.

=====

<1>
Density functional theory data (PBE-GGA) for an optimized crystal structure of IBr.

Unit cell a=7.8131 b=5.2315 c=8.7931 alpha=90.00 beta=90.00 gamma=90.00
Last column: nearest neighbours and their distance in Å.
Space group Cmcm (No. 63)
Inequivalent atoms, fractional coordinates:
1 I 0.0000 0.0000 0.0000 x4  2 Br 2.73
2 Br 0.0000 0.3101 0.2500 x4  2 I 2.73

Calculated values
Crystal system   orthorhombic

=====

<2>
Density functional theory data (PBE-GGA) for an optimized crystal structure of IBr.

Unit cell a=8.4288 b=5.4132 c=8.8164 alpha=90.00 beta=90.00 gamma=90.00
Last column: nearest neighbours and their distance in Å.
Space group Cmcm (No. 63)
Inequivalent atoms, fractional coordinates:
1 I 0.0000 0.0000 0.0000 x4  2 Br 2.73
2 Br 0.0000 0.2990 0.2500 x4  2 I 2.73

Calculated values
Crystal system   orthorhombic

=====

Of them, <1> has the lowest stability.

=====

<1>
Density functional theory data (PBE-GGA) for an optimized crystal structure of In4Br7.

Unit cell a=13.5845 b=7.7119 c=31.9880 alpha=90.00 beta=98.66 gamma=90.00
Last column: nearest neighbours and their distance in Å.
Space group C2/c (No. 15)
Inequivalent atoms, fractional coordinates:
1 In 0.0000 0.1995 0.2500 x4  8 Br 3.52-3.71
2 In 0.0709 0.2479 0.4728 x8  6 Br 3.31-3.66
3 In 0.1419 0.2275 0.6847 x8  4 Br 2.52-2.55
4 In 0.2084 0.2496 0.8750 x8  5 Br 3.24-3.59
5 In 0.2500 0.2500 0.0000 x4  6 Br 2.71-2.72
6 Br 0.0232 0.0091 0.1519 x8  1 In 2.55
7 Br 0.0704 0.4769 0.1643 x8  1 In 2.52
8 Br 0.0715 0.2978 0.9507 x8  1 In 2.71
9 Br 0.1580 0.1656 0.7638 x8  1 In 2.55
10 Br 0.1626 0.0256 0.0486 x8  1 In 2.72
11 Br 0.1886 0.3100 0.3383 x8  1 In 2.54
12 Br 0.2078 0.4841 0.5497 x8  1 In 2.71

Calculated values
Crystal system   monoclinic

=====

<2>
Density functional theory data (PBE-GGA) for an optimized crystal structure of In4Br7.

Unit cell a=7.8167 b=7.8167 c=47.6217 alpha=90.00 beta=90.00 gamma=120.00
Last column: nearest neighbours and their distance in Å.
Space group R-3m (No. 166, hexagonal axes)
Inequivalent atoms, fractional coordinates:
1 In 0.0000 0.0000 0.0000 x3  6 Br 2.72
2 In 0.0000 0.0000 0.0829 x6  4 Br 3.25-3.42
3 In 0.0000 0.0000 0.2082 x6  4 Br 2.54
4 In 0.0000 0.0000 0.3489 x6  3 Br 3.26
5 In 0.0000 0.0000 0.5000 x3  6 Br 3.54
6 Br 0.0000 0.0000 0.1547 x6  1 In 2.54
7 Br 0.0054 0.5027 0.6337 x18  1 In 2.72
8 Br 0.0205 0.5102 0.1072 x18  1 In 2.54

Calculated values
Crystal system   trigonal

=====

Of them, <2> has the lowest stability.